Ca3Nb4O12F2: relaxed, PBE-GGA.

a = 7.4393 Å, b = 7.4393 Å, c = 7.4393 Å
α = 60.89°, β = 60.89°, γ = 60.89°
With the nearest neighbours (Å) after each atom.
Positions (direct):
1 Nb 0.0000 0.0000 0.5000  6 O 2.01
2 O 0.6811 0.0717 0.0717  2 Nb 2.00-2.01
3 F 0.6407 0.6407 0.6407  3 Ca 2.23
4 F 0.3593 0.3593 0.3593  3 Ca 2.23
5 Ca 0.5000 0.5000 0.0000  2 F 2.23
6 O 0.6851 0.6851 0.0560  2 Nb 2.01
7 O 0.3189 0.9283 0.9283  2 Nb 2.00-2.01
8 Ca 0.0000 0.5000 0.5000  2 F 2.23
9 O 0.3149 0.3149 0.9440  2 Nb 2.01
10 O 0.0560 0.6851 0.6851  2 Nb 2.01
11 O 0.0717 0.0717 0.6811  2 Nb 2.00-2.01
12 O 0.9440 0.3149 0.3149  2 Nb 2.01
13 Ca 0.5000 0.0000 0.5000  2 F 2.23
14 Nb 0.5000 0.0000 0.0000  6 O 2.01
15 O 0.6851 0.0560 0.6851  2 Nb 2.01
16 O 0.0717 0.6811 0.0717  2 Nb 2.00-2.01
17 Nb 0.0000 0.0000 0.0000  6 O 2.00
18 O 0.9283 0.9283 0.3189  2 Nb 2.00-2.01
19 O 0.3149 0.9440 0.3149  2 Nb 2.01
20 O 0.9283 0.3189 0.9283  2 Nb 2.00-2.01
21 Nb 0.0000 0.5000 0.0000  6 O 2.01

Magnetization: 0.0 μB/f.u.
E above lowest polymorph: 0.018 eV/atom
E (MP2020): -8.561 eV/atom
Formation energy from the elements: -3.34 eV/atom

=====

Ba2CuC12O18: relaxed, PBE-GGA.

a = 7.7721 Å, b = 8.2436 Å, c = 10.2452 Å
α = 97.39°, β = 111.95°, γ = 114.27°
With the nearest neighbours (Å) after each atom.
Positions (direct):
1 O 0.2915 0.7143 0.7993  1 C 1.23
2 C 0.8161 0.5654 0.9983  1 O 1.23
3 O 0.8007 0.9583 0.8063  1 O 1.36
4 C 0.1839 0.4346 0.0017  1 O 1.23
5 C 0.9653 0.8609 0.4973  1 O 1.25
6 O 0.9352 0.6997 0.4951  1 C 1.25
7 O 0.8503 0.6691 0.9243  1 C 1.23
8 O 0.1993 0.0417 0.1937  1 O 1.36
9 O 0.5473 0.7323 0.1390  1 C 1.22
10 O 0.4650 0.4965 0.4291  1 O 1.33
11 C 0.0658 0.4310 0.8467  1 O 1.24
12 C 0.0347 0.1391 0.5027  1 O 1.25
13 C 0.3720 0.6229 0.0329  1 O 1.22
14 O 0.4527 0.2677 0.8610  1 C 1.22
15 Ba 0.3530 0.7235 0.5531  8 O 2.71-3.00
16 O 0.8876 0.3217 0.7385  1 C 1.24
17 C 0.7493 0.3865 0.1252  1 O 1.23
18 C 0.6280 0.3771 0.9671  1 O 1.22
19 O 0.3314 0.0619 0.5287  1 C 1.25
20 C 0.9342 0.5690 0.1533  1 O 1.24
21 Ba 0.6470 0.2765 0.4469  8 O 2.71-3.00
22 O 0.6686 0.9381 0.4713  1 C 1.25
23 O 0.7085 0.2857 0.2007  1 C 1.23
24 C 0.1526 0.0326 0.5133  1 O 1.25
25 O 0.5350 0.5035 0.5709  1 O 1.33
26 O 0.9893 0.9866 0.8130  1 O 1.36
27 O 0.0107 0.0134 0.1870  1 O 1.36
28 O 0.0648 0.3003 0.5049  1 C 1.25
29 C 0.2507 0.6135 0.8748  1 O 1.23
30 C 0.8474 0.9674 0.4867  1 O 1.25
31 Cu 0.0000 0.0000 0.0000  4 O 1.87-1.88
32 O 0.1124 0.6783 0.2615  1 C 1.24
33 O 0.1497 0.3309 0.0757  1 C 1.23

Magnetization: 3.3 μB/f.u.
E above lowest polymorph: 0.000 eV/atom
E (MP2020): -7.092 eV/atom
Formation energy from the elements: -0.80 eV/atom

=====

Na3Ti2SiSn2P5O24: relaxed, PBE-GGA.

a = 8.7664 Å, b = 8.7485 Å, c = 22.5432 Å
α = 90.08°, β = 89.94°, γ = 120.00°
With the nearest neighbours (Å) after each atom.
Positions (direct):
1 O 0.5003 0.3644 0.4182  1 P 1.56
2 O 0.7044 0.1564 0.0277  1 P 1.54
3 O 0.8404 0.2964 0.5274  1 P 1.54
4 O 0.5103 0.8264 0.7594  1 Si 1.66
5 O 0.8301 0.5518 0.0263  1 Si 1.63
6 O 0.3044 0.8321 0.2579  1 P 1.55
7 O 0.7043 0.5460 0.5268  1 P 1.53
8 O 0.1555 0.6493 0.0738  1 Si 1.63
9 O 0.1605 0.6945 0.4716  1 P 1.56
10 O 0.1657 0.1939 0.4084  1 P 1.55
11 O 0.8619 0.3613 0.9204  1 P 1.55
12 P 0.2906 0.2947 0.7510  4 O 1.53-1.55
13 P 0.2862 0.9984 0.2512  4 O 1.54-1.56
14 O 0.8308 0.8065 0.3051  1 P 1.55
15 P 0.3337 0.9546 0.9162  4 O 1.54-1.55
16 O 0.3061 0.4667 0.4715  1 P 1.54
17 O 0.6781 0.1696 0.7467  1 Si 1.64
18 O 0.5352 0.6887 0.9746  1 P 1.54
19 O 0.4947 0.3761 0.1381  1 P 1.55
20 O 0.2154 0.1708 0.8054  1 P 1.55
21 O 0.0343 0.1972 0.9145  1 P 1.55
22 Ti 0.3282 0.6682 0.5187  6 O 1.89-2.05
23 Sn 0.0012 0.9984 0.6482  6 O 1.99-2.11
24 O 0.1466 0.4993 0.5736  1 P 1.53
25 O 0.0291 0.8348 0.4087  1 P 1.55
26 O 0.3599 0.5006 0.0746  1 P 1.55
27 O 0.1660 0.9718 0.9130  1 P 1.55
28 O 0.1373 0.6410 0.3607  1 P 1.54
29 O 0.5270 0.6963 0.2583  1 P 1.56
30 Na 0.0075 0.0065 0.0007  6 O 2.50-2.61
31 O 0.8817 0.5044 0.1427  1 Si 1.61
32 O 0.1371 0.4932 0.8610  1 P 1.54
33 P 0.9621 0.3382 0.5818  4 O 1.53-1.55
34 P 0.0478 0.3812 0.9163  4 O 1.54-1.55
35 P 0.0473 0.6686 0.4153  4 O 1.54-1.56
36 Na 0.6666 0.3333 0.3331  6 O 2.50-2.54
37 Na 0.6763 0.3392 0.8337  6 O 2.46-2.61
38 O 0.3570 0.8701 0.8592  1 P 1.54
39 O 0.4479 0.2902 0.0274  1 P 1.54
40 O 0.7944 0.8226 0.1934  1 P 1.55
41 O 0.3564 0.4963 0.3603  1 P 1.56
42 P 0.3726 0.3310 0.0832  4 O 1.54-1.55
43 O 0.8303 0.0187 0.0922  1 P 1.56
44 Si 0.3694 0.0404 0.5821  4 O 1.61-1.66
45 O 0.8327 0.5244 0.7448  1 P 1.53
46 O 0.5395 0.8444 0.4731  1 P 1.55
47 Sn 0.6680 0.3350 0.9802  6 O 2.00-2.09
48 O 0.8066 0.9703 0.4082  1 P 1.55
49 O 0.8249 0.8118 0.5871  1 P 1.55
50 O 0.4755 0.3134 0.7445  1 P 1.55
51 Ti 0.3415 0.6673 0.8139  6 O 1.89-2.05
52 P 0.6638 0.6223 0.5817  4 O 1.53-1.55
53 P 0.6222 0.9524 0.4157  4 O 1.55-1.56
54 P 0.3311 0.3797 0.4155  4 O 1.54-1.56
55 O 0.6330 0.4946 0.9191  1 P 1.56
56 P 0.0018 0.2870 0.2510  4 O 1.54-1.56
57 O 0.1599 0.4722 0.9723  1 P 1.55
58 Ti 0.0060 0.0002 0.1476  6 O 1.90-2.05
59 O 0.3584 0.8467 0.5729  1 Si 1.66
60 Si 0.7100 0.0004 0.7504  4 O 1.61-1.66
61 Na 0.3655 0.9989 0.7504  5 O 2.38-2.65
62 O 0.6912 0.5269 0.2472  1 P 1.56
63 O 0.1788 0.2171 0.6947  1 P 1.54
64 Si 0.9598 0.6244 0.0841  4 O 1.61-1.65
65 Ti 0.3337 0.6655 0.3134  6 O 1.91-2.03
66 O 0.9717 0.1666 0.5880  1 P 1.55
67 O 0.8315 0.0396 0.8081  1 Si 1.61
68 O 0.8324 0.3018 0.2480  1 P 1.56
69 Na 0.0120 0.0013 0.4979  6 O 2.45-2.63
70 O 0.6425 0.1395 0.4188  1 P 1.56
71 O 0.1675 0.4726 0.2581  1 P 1.55
72 O 0.9676 0.7878 0.8072  1 P 1.53
73 O 0.6239 0.1154 0.1391  1 P 1.54
74 O 0.5015 0.1391 0.9210  1 P 1.55
75 Sn 0.6631 0.3329 0.4781  6 O 1.97-2.09
76 Na 0.3264 0.6532 0.6665  6 O 2.56-2.63
77 O 0.5068 0.6461 0.8624  1 P 1.56
78 P 0.7116 0.7141 0.2507  4 O 1.55-1.56
79 O 0.1661 0.6884 0.7592  1 P 1.55
80 O 0.4584 0.1616 0.5246  1 Si 1.61
81 O 0.3101 0.8397 0.9712  1 P 1.55
82 P 0.6668 0.0417 0.0835  4 O 1.54-1.56
83 O 0.8060 0.8318 0.9143  1 P 1.55
84 O 0.1757 0.0176 0.5877  1 Si 1.61
85 Na 0.6681 0.6974 0.0822  5 O 2.38-2.65
86 O 0.5069 0.8525 0.0747  1 P 1.56
87 O 0.8881 0.3762 0.6385  1 P 1.54
88 O 0.4712 0.1665 0.2458  1 P 1.56
89 O 0.1879 0.1700 0.0927  1 P 1.54
90 O 0.8624 0.5006 0.4204  1 P 1.56
91 P 0.9995 0.7052 0.7520  4 O 1.53-1.55
92 O 0.9768 0.1705 0.3063  1 P 1.56
93 O 0.0272 0.1999 0.1951  1 P 1.54
94 O 0.4918 0.1112 0.6424  1 Si 1.65
95 O 0.1964 0.0258 0.3059  1 P 1.54
96 O 0.7812 0.9605 0.6887  1 Si 1.63
97 Na 0.3234 0.6655 0.1680  6 O 2.55-2.66
98 Sn 0.6700 0.3338 0.6848  6 O 2.03-2.11
99 Na 0.6631 0.9685 0.5838  5 O 2.34-2.60
100 O 0.3080 0.4769 0.7596  1 P 1.53
101 Ti 0.3221 0.6656 0.0198  6 O 1.85-2.05
102 O 0.0455 0.8253 0.6964  1 P 1.55
103 O 0.4997 0.6439 0.5744  1 P 1.55
104 O 0.1728 0.9726 0.1950  1 P 1.56
105 Sn 0.6698 0.3330 0.1874  6 O 1.98-2.10
106 P 0.6201 0.6656 0.9182  4 O 1.54-1.56
107 O 0.9777 0.8200 0.0939  1 Si 1.65
108 O 0.5024 0.8598 0.3615  1 P 1.55
109 O 0.6315 0.5127 0.6387  1 P 1.54
110 Sn 0.9973 0.0004 0.8547  6 O 1.96-2.09
111 Ti 0.9998 0.0010 0.3531  6 O 1.91-2.03

Magnetization: 0.0 μB/f.u.
E (MP2020): -7.617 eV/atom
Formation energy from the elements: -2.78 eV/atom

=====

BaCoS2: relaxed, PBE-GGA.

a = 4.3771 Å, b = 4.3771 Å, c = 8.9930 Å
α = 90.00°, β = 90.00°, γ = 90.00°
With the nearest neighbours (Å) after each atom.
Positions (direct):
1 S 0.0000 0.0000 0.5000  4 Co 2.33
2 S 0.0000 0.5000 0.1602  1 Co 2.27
3 Co 0.5000 0.0000 0.5874  5 S 2.27-2.33
4 Ba 0.5000 0.0000 0.2006  9 S 3.12-3.47, 1 Co 3.48
5 S 0.5000 0.5000 0.5000  4 Co 2.33
6 Co 0.0000 0.5000 0.4126  5 S 2.27-2.33
7 Ba 0.0000 0.5000 0.7994  9 S 3.12-3.47, 1 Co 3.48
8 S 0.5000 0.0000 0.8398  1 Co 2.27

Magnetization: 0.2 μB/f.u.
E (MP2020): -5.705 eV/atom
Formation energy from the elements: -1.38 eV/atom

=====

Mo3WSe2S6: relaxed, PBE-GGA.

a = 3.2239 Å, b = 3.2239 Å, c = 36.4159 Å
α = 90.00°, β = 90.00°, γ = 120.00°
With the nearest neighbours (Å) after each atom.
Positions (direct):
1 Se 0.3333 0.6667 0.3288  3 Mo 2.53
2 S 0.3333 0.6667 0.6146  3 W 2.43
3 Mo 0.3333 0.6667 0.0939  6 S 2.43
4 Se 0.3333 0.6667 0.2348  3 Mo 2.53
5 S 0.3333 0.6667 0.7005  3 W 2.43
6 Mo 0.6667 0.3333 0.2818  6 Se 2.53
7 Mo 0.3333 0.6667 0.4697  6 S 2.42-2.43
8 S 0.6667 0.3333 0.0512  3 Mo 2.43
9 W 0.6667 0.3333 0.6575  6 S 2.43
10 S 0.6667 0.3333 0.5124  3 Mo 2.43
11 S 0.6667 0.3333 0.1366  3 Mo 2.43
12 S 0.6667 0.3333 0.4270  3 Mo 2.42

Magnetization: 0.0 μB/f.u.
E above lowest polymorph: 0.001 eV/atom
E (MP2020): -7.489 eV/atom
Formation energy from the elements: -1.05 eV/atom

=====

YHoIn2: relaxed, PBE-GGA.

a = 5.3038 Å, b = 5.3038 Å, c = 5.3038 Å
α = 60.00°, β = 60.00°, γ = 60.00°
With the nearest neighbours (Å) after each atom.
Positions (direct):
1 In 0.2500 0.2500 0.2500  4 Ho 3.25, 4 Y 3.25
2 Ho 0.5000 0.5000 0.5000  8 In 3.25
3 In 0.7500 0.7500 0.7500  4 Ho 3.25, 4 Y 3.25
4 Y 0.0000 0.0000 0.0000  8 In 3.25

Formation energy from the elements: -0.47 eV/atom

=====

Number 1: mass density 4.0 g/cm3. Number 2: mass density 2.4 g/cm3. Number 3: mass density 3.2 g/cm3. Number 4: mass density 5.0 g/cm3. Number 5: mass density 4.2 g/cm3. Number 6: mass density 7.6 g/cm3.